A plane-wave DFT calculation with PBE-GGA was carried out for an optimized crystal structure of CsI.

Output
total moment	0.000	μB per atom
theoretical density	3592	kg/m³
energy	-21.14	eV for the cell shown

Geometry as CIF:
```
data_CsI
_chemical_formula_sum 'Cs4 I4'
_space_group_name_H-M_alt 'P n m a'
_space_group_IT_number 62
_cell_length_a 5.471
_cell_length_b 5.331
_cell_length_c 16.469
_cell_angle_alpha 90.00
_cell_angle_beta 90.00
_cell_angle_gamma 90.00
loop_
_space_group_symop_operation_xyz
'x,y,z'
'-x,-y,-z'
'-x+1/2,-y,z+1/2'
'x+1/2,y,-z+1/2'
'x+1/2,-y+1/2,-z+1/2'
'-x+1/2,y+1/2,z+1/2'
'-x,y+1/2,-z'
'x,-y+1/2,z'
loop_
_atom_site_label
_atom_site_type_symbol
_atom_site_fract_x
_atom_site_fract_y
_atom_site_fract_z
_atom_site_occupancy
Cs1 Cs 0.039 0.250 0.124 1
I1 I 0.037 0.750 0.375 1
```